(1)
## TmIn5Rh (meta-GGA r2SCAN)

Data for TmIn5Rh after structural relaxation.

Computed properties:
Density: 8.91 g/cm3
Space group: P4/mmm

Lattice parameters (Å, degrees): 4.6235 4.6235 7.3787 90.00 90.00 90.00
Closest atoms and distances in Å follow each position.
Fractional coordinates of all 7 atoms:
1 Tm 0.0000 0.0000 0.0000  12 In 3.20-3.27
2 In 0.0000 0.5000 0.2991  2 Rh 2.75, 1 In 2.96
3 In 0.0000 0.5000 0.7009  2 Rh 2.75, 1 In 2.96
4 In 0.5000 0.0000 0.2991  2 Rh 2.75, 1 In 2.96
5 In 0.5000 0.0000 0.7009  2 Rh 2.75, 1 In 2.96
6 In 0.5000 0.5000 0.0000  8 In 3.20, 4 Tm 3.27
7 Rh 0.0000 0.0000 0.5000  8 In 2.75

---

(2)
## Cs2Mn3Se4 (meta-GGA r2SCAN)

Data for Cs2Mn3Se4 after structural relaxation.

Computed properties:
Density: 4.44 g/cm3
Space group: Ibam

Lattice parameters (Å, degrees): 10.0120 10.0120 10.0120 143.43 105.31 86.15
Closest atoms and distances in Å follow each position.
Fractional coordinates of all 18 atoms:
1 Cs 0.1200 0.2323 0.3522  8 Se 3.72-3.90, 1 Cs 4.12, 2 Mn 4.16
2 Cs 0.3800 0.7323 0.1123  8 Se 3.72-3.90, 1 Cs 4.12, 2 Mn 4.16
3 Cs 0.6200 0.2677 0.8877  8 Se 3.72-3.90, 1 Cs 4.12, 2 Mn 4.16
4 Cs 0.8800 0.7677 0.6478  8 Se 3.72-3.90, 1 Cs 4.12, 2 Mn 4.16
5 Mn 0.0207 0.2500 0.7707  4 Se 2.55-2.61
6 Mn 0.2500 0.7500 0.5000  4 Se 2.58
7 Mn 0.4793 0.2500 0.2293  4 Se 2.55-2.61
8 Mn 0.5207 0.7500 0.7707  4 Se 2.55-2.61
9 Mn 0.7500 0.2500 0.5000  4 Se 2.58
10 Mn 0.9793 0.7500 0.2293  4 Se 2.55-2.61
11 Se 0.0177 0.4298 0.1454  3 Mn 2.55-2.61
12 Se 0.2156 0.0702 0.5879  3 Mn 2.55-2.61
13 Se 0.2844 0.8723 0.8546  3 Mn 2.55-2.61
14 Se 0.4823 0.6277 0.4121  3 Mn 2.55-2.61
15 Se 0.5177 0.3723 0.5879  3 Mn 2.55-2.61
16 Se 0.7156 0.1277 0.1454  3 Mn 2.55-2.61
17 Se 0.7844 0.9298 0.4121  3 Mn 2.55-2.61
18 Se 0.9823 0.5702 0.8546  3 Mn 2.55-2.61

---

(3)
## TlV3Cd4O12 (meta-GGA r2SCAN)

Data for TlV3Cd4O12 after structural relaxation.

Computed properties:
Density: 5.82 g/cm3
Space group: Cc

Lattice parameters (Å, degrees): 9.4317 9.4317 7.0890 107.18 107.18 92.17
Closest atoms and distances in Å follow each position.
Fractional coordinates of all 40 atoms:
1 Tl 0.0258 0.9742 0.5000  4 O 2.71-2.85
2 Tl 0.9742 0.0258 0.0000  4 O 2.71-2.85
3 V 0.1212 0.3489 0.8895  4 O 1.71-1.75
4 V 0.2961 0.6999 0.4992  4 O 1.72-1.75
5 V 0.3489 0.1212 0.3895  4 O 1.71-1.75
6 V 0.6466 0.8680 0.1111  4 O 1.70-1.78
7 V 0.6999 0.2961 0.9992  4 O 1.72-1.75
8 V 0.8680 0.6466 0.6111  4 O 1.70-1.78
9 Cd 0.0619 0.3768 0.3970  6 O 2.22-2.32
10 Cd 0.2583 0.7326 0.9926  6 O 2.32-2.41
11 Cd 0.3768 0.0619 0.8970  6 O 2.22-2.32
12 Cd 0.5116 0.5240 0.2121  5 O 2.30-2.50
13 Cd 0.5240 0.5116 0.7121  5 O 2.30-2.50
14 Cd 0.6173 0.9369 0.6083  6 O 2.23-2.30
15 Cd 0.7326 0.2583 0.4926  6 O 2.32-2.41
16 Cd 0.9369 0.6173 0.1083  6 O 2.23-2.30
17 O 0.0004 0.6674 0.8490  1 V 1.73
18 O 0.0314 0.3932 0.0722  1 V 1.71
19 O 0.1733 0.1760 0.8778  1 V 1.71
20 O 0.1760 0.1733 0.3778  1 V 1.71
21 O 0.1789 0.7269 0.2801  1 V 1.72
22 O 0.2673 0.8164 0.7186  1 V 1.72
23 O 0.2769 0.4830 0.9618  1 V 1.75
24 O 0.2829 0.5226 0.5214  1 V 1.73
25 O 0.3304 0.9882 0.1508  1 V 1.74
26 O 0.3932 0.0314 0.5722  1 V 1.71
27 O 0.4769 0.7108 0.4812  1 V 1.75
28 O 0.4830 0.2769 0.4618  1 V 1.75
29 O 0.5174 0.7031 0.0395  1 V 1.78
30 O 0.5226 0.2829 0.0214  1 V 1.73
31 O 0.5962 0.9548 0.9269  1 V 1.70
32 O 0.6674 0.0004 0.3490  1 V 1.73
33 O 0.7031 0.5174 0.5395  1 V 1.78
34 O 0.7108 0.4769 0.9812  1 V 1.75
35 O 0.7269 0.1789 0.7801  1 V 1.72
36 O 0.8164 0.2673 0.2186  1 V 1.72
37 O 0.8184 0.8183 0.1171  1 V 1.70
38 O 0.8183 0.8184 0.6171  1 V 1.70
39 O 0.9548 0.5962 0.4269  1 V 1.70
40 O 0.9882 0.3304 0.6508  1 V 1.74

---

The records above yield energy relative to the elements values of -0.502, -1.203, -1.974 eV/atom, respectively.